FePO4 | the Materials Project database | GGA+U | optimized geometry; SG = Cmcm; ΔE_f = -2.308 eV per atom
1.0
-2.637 -3.963 0.000
-2.637 3.963 0.000
0.000 0.000 -6.450
O P Fe
8 2 2
direct
0.240 0.760 0.447 O
0.780 0.706 0.750 O
0.760 0.240 0.553 O
0.240 0.760 0.053 O
0.294 0.220 0.750 O
0.706 0.780 0.250 O
0.760 0.240 0.947 O
0.220 0.294 0.250 O
0.653 0.347 0.750 P
0.347 0.653 0.250 P
0.000 0.000 0.000 Fe
0.000 0.000 0.500 Fe



FePO4 | the Materials Project database | GGA+U | optimized geometry; SG = P1; ΔE_f = -2.252 eV per atom
1.0
9.942 -0.003 0.018
-0.002 5.885 -0.001
0.009 -0.001 4.845
O P Fe
16 4 4
direct
0.619 0.250 0.774 O
0.122 0.250 0.730 O
0.175 0.453 0.264 O
0.174 0.049 0.263 O
0.382 0.753 0.235 O
0.550 0.749 0.856 O
0.881 0.750 0.273 O
0.829 0.953 0.731 O
0.951 0.251 0.355 O
0.670 0.047 0.232 O
0.445 0.250 0.154 O
0.326 0.544 0.776 O
0.326 0.955 0.774 O
0.670 0.453 0.232 O
0.055 0.753 0.654 O
0.829 0.547 0.732 O
0.594 0.250 0.085 P
0.905 0.750 0.583 P
0.399 0.749 0.918 P
0.101 0.250 0.418 P
0.775 0.250 0.532 Fe
0.219 0.746 0.441 Fe
0.278 0.248 0.956 Fe
0.725 0.750 0.034 Fe



FePO4 | the Materials Project database | GGA+U | optimized geometry; SG = R-3c; ΔE_f = -2.290 eV per atom
1.0
-0.088 6.427 -5.450
-3.557 -1.231 -7.540
-7.369 3.769 -1.582
O Fe P
24 6 6
direct
0.249 0.905 0.062 O
0.393 0.177 0.995 O
0.823 0.005 0.607 O
0.438 0.595 0.251 O
0.995 0.393 0.177 O
0.095 0.938 0.751 O
0.177 0.995 0.393 O
0.005 0.607 0.823 O
0.905 0.062 0.249 O
0.751 0.095 0.938 O
0.062 0.249 0.905 O
0.938 0.751 0.095 O
0.595 0.251 0.438 O
0.107 0.505 0.323 O
0.677 0.893 0.495 O
0.562 0.405 0.749 O
0.495 0.677 0.893 O
0.749 0.562 0.405 O
0.323 0.107 0.505 O
0.505 0.323 0.107 O
0.893 0.495 0.677 O
0.405 0.749 0.562 O
0.607 0.823 0.005 O
0.251 0.438 0.595 O
0.854 0.854 0.854 Fe
0.500 0.500 0.500 Fe
0.000 0.000 0.000 Fe
0.146 0.146 0.146 Fe
0.646 0.646 0.646 Fe
0.354 0.354 0.354 Fe
0.452 0.750 0.048 P
0.048 0.452 0.750 P
0.750 0.048 0.452 P
0.952 0.548 0.250 P
0.548 0.250 0.952 P
0.250 0.952 0.548 P



Fe3P3O13 | the Materials Project database | GGA+U | optimized geometry; SG = P2_1/m; ΔE_f = -2.111 eV per atom
1.0
-3.768 3.746 3.543
0.260 -5.090 5.658
8.367 3.613 5.079
Fe O P
6 26 6
direct
0.500 0.000 0.000 Fe
0.250 0.213 0.439 Fe
0.750 0.362 0.808 Fe
0.250 0.638 0.192 Fe
0.750 0.787 0.561 Fe
0.000 0.000 0.000 Fe
0.946 0.256 0.434 O
0.750 0.654 0.741 O
0.250 0.649 0.385 O
0.750 0.121 0.907 O
0.948 0.795 0.912 O
0.250 0.975 0.407 O
0.250 0.879 0.093 O
0.554 0.256 0.434 O
0.555 0.633 0.214 O
0.945 0.633 0.214 O
0.750 0.916 0.131 O
0.750 0.025 0.593 O
0.250 0.084 0.869 O
0.250 0.346 0.259 O
0.750 0.794 0.372 O
0.446 0.744 0.566 O
0.054 0.744 0.566 O
0.750 0.499 0.956 O
0.750 0.351 0.615 O
0.448 0.205 0.088 O
0.250 0.501 0.044 O
0.445 0.367 0.786 O
0.552 0.795 0.912 O
0.055 0.367 0.786 O
0.250 0.206 0.628 O
0.052 0.205 0.088 O
0.250 0.307 0.116 P
0.750 0.217 0.518 P
0.250 0.257 0.764 P
0.750 0.743 0.236 P
0.250 0.783 0.482 P
0.750 0.693 0.884 P



Fe3P4O16 | the Materials Project database | GGA+U | optimized geometry; SG = P2_1; ΔE_f = -2.095 eV per atom
1.0
-4.300 6.170 1.819
-5.129 -4.617 3.535
5.663 0.411 8.754
O Fe P
32 6 8
direct
0.260 0.394 0.016 O
0.638 0.930 0.456 O
0.579 0.363 0.147 O
0.172 0.554 0.207 O
0.862 0.430 0.294 O
0.357 0.082 0.042 O
0.058 0.123 0.403 O
0.415 0.713 0.116 O
0.683 0.939 0.973 O
0.876 0.814 0.357 O
0.588 0.299 0.896 O
0.624 0.314 0.393 O
0.912 0.799 0.854 O
0.442 0.623 0.347 O
0.089 0.180 0.142 O
0.328 0.054 0.543 O
0.085 0.213 0.634 O
0.767 0.121 0.749 O
0.817 0.439 0.777 O
0.411 0.680 0.608 O
0.745 0.624 0.534 O
0.413 0.655 0.847 O
0.921 0.863 0.603 O
0.755 0.124 0.216 O
0.087 0.155 0.903 O
0.229 0.859 0.279 O
0.143 0.582 0.708 O
0.544 0.335 0.655 O
0.733 0.621 0.001 O
0.956 0.835 0.095 O
0.271 0.359 0.471 O
0.240 0.894 0.734 O
0.007 0.986 0.244 Fe
0.008 0.033 0.751 Fe
0.492 0.533 0.999 Fe
0.907 0.635 0.707 Fe
0.593 0.135 0.043 Fe
0.493 0.486 0.506 Fe
0.303 0.703 0.724 P
0.318 0.693 0.238 P
0.680 0.295 0.765 P
0.182 0.193 0.512 P
0.197 0.203 0.026 P
0.707 0.310 0.263 P
0.820 0.795 0.985 P
0.793 0.810 0.487 P



FePO4 | the Materials Project database | GGA+U | optimized geometry; SG = Pca2_1; maximum piezoelectric response = 0.17 C/m²; ΔE_f = -2.325 eV per atom
1.0
5.258 0.000 0.000
0.000 10.499 0.000
0.000 0.000 14.269
O P Fe
32 8 8
direct
0.665 0.745 0.852 O
0.010 0.424 0.394 O
0.523 0.823 0.146 O
0.498 0.046 0.211 O
0.502 0.954 0.711 O
0.335 0.245 0.852 O
0.851 0.990 0.100 O
0.010 0.076 0.894 O
0.107 0.743 0.285 O
0.990 0.924 0.394 O
0.498 0.454 0.711 O
0.033 0.704 0.459 O
0.967 0.204 0.459 O
0.665 0.755 0.352 O
0.967 0.296 0.959 O
0.107 0.757 0.785 O
0.523 0.677 0.646 O
0.149 0.490 0.100 O
0.851 0.510 0.600 O
0.405 0.497 0.538 O
0.502 0.546 0.211 O
0.335 0.255 0.352 O
0.149 0.010 0.600 O
0.893 0.257 0.785 O
0.477 0.177 0.646 O
0.893 0.243 0.285 O
0.595 0.503 0.038 O
0.477 0.323 0.146 O
0.405 0.003 0.038 O
0.990 0.576 0.894 O
0.595 0.997 0.538 O
0.033 0.796 0.959 O
0.431 0.465 0.124 P
0.949 0.781 0.372 P
0.569 0.965 0.124 P
0.569 0.535 0.624 P
0.431 0.035 0.624 P
0.051 0.281 0.372 P
0.051 0.219 0.872 P
0.949 0.719 0.872 P
0.071 0.533 0.497 Fe
0.929 0.033 0.497 Fe
0.550 0.283 0.749 Fe
0.550 0.217 0.249 Fe
0.929 0.467 0.997 Fe
0.450 0.717 0.249 Fe
0.071 0.967 0.997 Fe
0.450 0.783 0.749 Fe